Compound: CuBi3PbS6
Source: the Materials Project
Functional: PBE-GGA
Structure: optimized geometry

CIF file:
```
data_CuBi3PbS6
_chemical_formula_sum 'Cu2 Bi6 Pb2 S12'
_symmetry_space_group_name_H-M 'P 1'
_symmetry_Int_Tables_number 1
_symmetry_space_group_name_Hall 'P 1'
_cell_length_a 4.0629
_cell_length_b 11.2137
_cell_length_c 11.6608
_cell_angle_alpha 90.00
_cell_angle_beta 90.00
_cell_angle_gamma 90.00
loop_
_atom_site_label
_atom_site_type_symbol
_atom_site_fract_x
_atom_site_fract_y
_atom_site_fract_z
_atom_site_occupancy
Cu1 Cu 0.0000 0.7893 0.5120 1
Cu2 Cu 0.5000 0.2893 0.4880 1
Bi1 Bi 0.0000 0.3210 0.7397 1
Bi2 Bi 0.0000 0.1796 0.2258 1
Bi3 Bi 0.5000 0.6796 0.7742 1
Bi4 Bi 0.5000 0.8210 0.2603 1
Bi5 Bi 0.0000 0.9786 0.9120 1
Bi6 Bi 0.5000 0.4786 0.0880 1
Pb1 Pb 0.0000 0.5178 0.4126 1
Pb2 Pb 0.5000 0.0178 0.5874 1
S1 S 0.0000 0.8589 0.7077 1
S2 S 0.0000 0.6300 0.2003 1
S3 S 0.5000 0.1300 0.7997 1
S4 S 0.5000 0.3589 0.2923 1
S5 S 0.0000 0.5505 0.8716 1
S6 S 0.0000 0.9400 0.3683 1
S7 S 0.5000 0.4400 0.6317 1
S8 S 0.5000 0.0505 0.1284 1
S9 S 0.0000 0.2068 0.5295 1
S10 S 0.0000 0.3160 0.0371 1
S11 S 0.5000 0.8160 0.9629 1
S12 S 0.5000 0.7068 0.4705 1
```

Output
* energy of formation: -606 meV/atom
* space group: Pmn2_1 (31)
* crystal system: orthorhombic
* E above lowest polymorph: 16.4 meV per atom